Below is crystalline NaFeF3 at its relaxed geometry, with properties calculated at the r2SCAN level.

Results
E_tot = -8.075 eV/atom
Theoretical density = 3.80 g/cm3

Cell and atoms, written as CIF:
```
data_NaFeF3
_chemical_formula_sum 'Na4 Fe4 F12'
_space_group_name_H-M_alt 'P n m a'
_space_group_IT_number 62
_cell_length_a 5.6749
_cell_length_b 7.7573
_cell_length_c 5.4002
_cell_angle_alpha 90.00
_cell_angle_beta 90.00
_cell_angle_gamma 90.00
loop_
_space_group_symop_operation_xyz
'x,y,z'
'-x,-y,-z'
'-x+1/2,-y,z+1/2'
'x+1/2,y,-z+1/2'
'x+1/2,-y+1/2,-z+1/2'
'-x+1/2,y+1/2,z+1/2'
'-x,y+1/2,-z'
'x,-y+1/2,z'
loop_
_atom_site_label
_atom_site_type_symbol
_atom_site_fract_x
_atom_site_fract_y
_atom_site_fract_z
Na1 Na 0.0698 0.2500 0.0214
Fe1 Fe 0.0000 0.0000 0.5000
F1 F 0.0479 0.7500 0.3735
F2 F 0.1889 0.5589 0.8027
```